Entry from the Materials Project database: Nd5Ge3 after structural relaxation (PBE-GGA).

Computed properties:
formation energy	-0.427	eV/atom

```
Nd5Ge3
1.0
2.947 6.905 -5.530
-5.234 -6.873 -3.510
-5.128 3.237 1.309
Nd Ge
10 6
direct
0.293 0.000 0.250
0.293 0.293 0.750
0.000 0.707 0.750
0.000 0.293 0.250
0.707 0.707 0.250
0.707 0.000 0.750
0.333 0.667 0.250
0.667 0.333 0.750
0.667 0.333 0.250
0.333 0.667 0.750
0.651 0.000 0.250
0.651 0.651 0.750
0.000 0.349 0.750
0.000 0.651 0.250
0.349 0.349 0.250
0.349 0.000 0.750
```

---

Entry from the Materials Project database: Ta2TiW after structural relaxation (PBE-GGA).

Computed properties:
formation energy	-0.026	eV/atom

```
Ta2TiW
1.0
4.464 0.085 1.130
1.537 3.055 3.085
1.347 -1.417 4.170
Ta Ti W
2 1 1
direct
0.250 0.250 0.250
0.750 0.750 0.750
0.500 0.500 0.500
0.000 0.000 0.000
```

---

Entry from the Materials Project database: Cs7NbIn3As5 after structural relaxation (PBE-GGA).

Computed properties:
formation energy	-0.442	eV/atom

```
Cs7NbIn3As5
1.0
-4.153 -7.859 -1.193
5.501 -2.403 -7.835
10.065 -7.790 7.976
Cs Nb In As
14 2 6 10
direct
0.818 0.371 0.639
0.811 0.816 0.127
0.243 0.007 0.467
0.269 0.253 0.253
0.744 0.504 0.973
0.256 0.496 0.027
0.693 0.079 0.886
0.757 0.993 0.533
0.731 0.747 0.747
0.305 0.336 0.602
0.182 0.629 0.361
0.189 0.184 0.873
0.307 0.921 0.114
0.695 0.664 0.398
0.354 0.605 0.772
0.646 0.395 0.228
0.069 0.809 0.867
0.931 0.191 0.133
0.366 0.947 0.705
0.094 0.722 0.625
0.906 0.278 0.375
0.634 0.053 0.295
0.916 0.452 0.212
0.616 0.205 0.125
0.084 0.548 0.788
0.589 0.298 0.389
0.411 0.702 0.611
0.042 0.991 0.702
0.511 0.401 0.808
0.489 0.599 0.192
0.384 0.795 0.875
0.958 0.009 0.298
```

---

Entry from the Materials Project database: PrLuS3 after structural relaxation (PBE-GGA).

Computed properties:
formation energy	-2.223	eV/atom

```
PrLuS3
1.0
-6.667 0.090 0.316
5.689 -2.389 2.546
0.404 7.717 6.336
Pr Lu S
2 2 6
direct
0.000 0.000 0.000
0.000 0.000 0.500
0.244 0.756 0.250
0.756 0.244 0.750
0.890 0.110 0.250
0.110 0.890 0.750
0.649 0.351 0.084
0.351 0.649 0.584
0.649 0.351 0.416
0.351 0.649 0.916
```

---

Entry from the Materials Project database: H8PtO6 after structural relaxation (PBE-GGA).

Computed properties:
largest piezoelectric modulus	1.0	C/m²
formation energy	-1.127	eV/atom

```
H8PtO6
1.0
5.573 0.000 0.000
0.684 5.536 0.000
0.369 0.216 7.325
H Pt O
16 2 12
direct
0.601 0.926 0.826
0.108 0.369 0.648
0.865 0.246 0.744
0.373 0.129 0.145
0.522 0.852 0.153
0.127 0.750 0.244
0.159 0.478 0.339
0.549 0.544 0.006
0.424 0.461 0.511
0.410 0.243 0.902
0.755 0.608 0.620
0.790 0.638 0.407
0.146 0.829 0.797
0.044 0.977 0.519
0.972 0.043 0.020
0.827 0.155 0.286
0.492 0.015 0.497
0.002 0.492 0.000
0.583 0.080 0.750
0.955 0.394 0.739
0.400 0.964 0.231
0.044 0.600 0.259
0.661 0.671 0.001
0.303 0.349 0.492
0.346 0.325 0.017
0.664 0.664 0.509
0.130 0.809 0.934
0.183 0.872 0.577
0.863 0.183 0.078
0.809 0.144 0.426
```

---

Entry from the Materials Project database: K2SrTi10O22 after structural relaxation (PBE-GGA).

Computed properties:
formation energy	-3.413	eV/atom

```
K2SrTi10O22
1.0
1.907 7.775 0.000
-1.907 7.775 0.000
0.000 3.545 15.295
K Sr Ti O
2 1 10 22
direct
0.516 0.516 0.454
0.443 0.443 0.159
0.557 0.557 0.837
0.861 0.861 0.358
0.138 0.138 0.635
0.799 0.799 0.565
0.204 0.204 0.433
0.835 0.835 0.962
0.166 0.166 0.037
0.902 0.902 0.752
0.098 0.098 0.242
0.756 0.756 0.164
0.245 0.245 0.837
0.699 0.699 0.040
0.301 0.301 0.957
0.732 0.732 0.442
0.266 0.266 0.559
0.939 0.939 0.881
0.067 0.067 0.123
0.665 0.665 0.637
0.335 0.335 0.366
0.858 0.858 0.651
0.142 0.142 0.350
0.862 0.862 0.070
0.134 0.134 0.929
0.814 0.814 0.249
0.180 0.180 0.757
0.980 0.980 0.296
0.023 0.023 0.712
0.893 0.893 0.470
0.105 0.105 0.529
0.773 0.773 0.845
0.228 0.228 0.153
0.625 0.625 0.230
0.377 0.377 0.772
```

---

Entry from the Materials Project database: Ba2YTi2F11 after structural relaxation (PBE-GGA).

Computed properties:
formation energy	-3.752	eV/atom

```
Ba2YTi2F11
1.0
3.911 -6.774 0.000
3.911 6.774 0.000
0.000 0.000 13.748
Ba Y Ti F
6 3 6 33
direct
0.896 0.880 0.663
0.517 0.196 0.812
0.984 0.104 0.996
0.804 0.322 0.479
0.678 0.483 0.145
0.120 0.016 0.330
0.468 0.669 0.888
0.201 0.532 0.222
0.331 0.799 0.555
0.007 0.644 0.875
0.117 0.429 0.740
0.571 0.687 0.407
0.638 0.993 0.208
0.313 0.883 0.074
0.356 0.362 0.542
0.023 0.756 0.018
0.834 0.390 0.943
0.733 0.977 0.351
0.416 0.108 0.495
0.864 0.945 0.172
0.270 0.300 0.187
0.892 0.308 0.162
0.700 0.970 0.854
0.081 0.136 0.506
0.610 0.006 0.060
0.692 0.584 0.828
0.244 0.267 0.685
0.643 0.687 0.012
0.366 0.155 0.026
0.044 0.357 0.345
0.610 0.443 0.610
0.317 0.845 0.912
0.396 0.390 0.394
0.331 0.742 0.390
0.313 0.956 0.679
0.411 0.669 0.723
0.845 0.210 0.692
0.790 0.634 0.359
0.527 0.683 0.245
0.994 0.604 0.727
0.055 0.919 0.839
0.557 0.166 0.276
0.258 0.351 0.864
0.093 0.742 0.198
0.258 0.589 0.056
0.030 0.730 0.520
0.155 0.473 0.578
0.649 0.907 0.531
```

---

Entry from the Materials Project database: Zr3Se after structural relaxation (PBE-GGA).

Computed properties:
formation energy	-0.384	eV/atom

```
Zr3Se
1.0
2.731 1.615 5.156
-4.635 -3.894 0.120
3.333 -3.984 -0.518
Zr Se
6 2
direct
0.165 0.331 0.250
0.669 0.835 0.250
0.165 0.835 0.250
0.835 0.669 0.750
0.331 0.165 0.750
0.835 0.165 0.750
0.333 0.667 0.750
0.667 0.333 0.250
```